Entry 1:
Below is a geometry-optimized MnCO3 structure, with properties calculated at the r²SCAN level.

Unit cell a=5.8591 b=5.8591 c=5.8591 alpha=48.12 beta=48.12 gamma=48.12
Positions (direct):
Mn: 0.0000 0.0000 0.0000
Mn: 0.5000 0.5000 0.5000
C: 0.2504 0.2504 0.2504
C: 0.7504 0.7504 0.7504
O: 0.0203 0.7512 0.4796
O: 0.2512 0.5203 0.9796
O: 0.4796 0.0203 0.7512
O: 0.5203 0.9796 0.2512
O: 0.7512 0.4796 0.0203
O: 0.9796 0.2512 0.5203

V in Å³/cell: 102.2
Energy relative to the elements in eV per atom: -1.759


Entry 2:
Below is a geometry-optimized Pr12Mn5C15 structure, with properties calculated at the r²SCAN level.

Unit cell a=10.8423 b=10.8423 c=5.3870 alpha=90.00 beta=90.00 gamma=120.00
Positions (direct):
Pr: 0.0000 0.4227 0.0000
Pr: 0.0000 0.7928 0.0000
Pr: 0.1868 0.7285 0.5000
Pr: 0.2072 0.2072 0.0000
Pr: 0.2715 0.4583 0.5000
Pr: 0.4227 0.0000 0.0000
Pr: 0.4583 0.2715 0.5000
Pr: 0.5417 0.8132 0.5000
Pr: 0.5773 0.5773 0.0000
Pr: 0.7285 0.1868 0.5000
Pr: 0.7928 0.0000 0.0000
Pr: 0.8132 0.5417 0.5000
Mn: 0.0000 0.1526 0.5000
Mn: 0.1526 0.0000 0.5000
Mn: 0.3333 0.6667 0.0000
Mn: 0.6667 0.3333 0.0000
Mn: 0.8474 0.8474 0.5000
C: 0.0000 0.3220 0.5000
C: 0.0000 0.4453 0.5000
C: 0.0000 0.8025 0.5000
C: 0.1975 0.1975 0.5000
C: 0.1981 0.7129 0.0000
C: 0.2871 0.4851 0.0000
C: 0.3220 0.0000 0.5000
C: 0.4453 0.0000 0.5000
C: 0.4851 0.2871 0.0000
C: 0.5149 0.8019 0.0000
C: 0.5547 0.5547 0.5000
C: 0.6780 0.6780 0.5000
C: 0.7129 0.1981 0.0000
C: 0.8025 0.0000 0.5000
C: 0.8019 0.5149 0.0000

V in Å³/cell: 548.4
Energy relative to the elements in eV per atom: -0.304


Entry 3:
Below is a geometry-optimized UMn2SiC structure, with properties calculated at the r²SCAN level.

Unit cell a=5.7333 b=5.7333 c=7.0156 alpha=90.00 beta=90.00 gamma=143.02
Positions (direct):
U: 0.0489 0.9511 0.7500
U: 0.9511 0.0489 0.2500
Mn: 0.3339 0.6661 0.5541
Mn: 0.3339 0.6661 0.9459
Mn: 0.6661 0.3339 0.0541
Mn: 0.6661 0.3339 0.4459
Si: 0.2303 0.7697 0.2500
Si: 0.7697 0.2303 0.7500
C: 0.5000 0.5000 0.0000
C: 0.5000 0.5000 0.5000

V in Å³/cell: 138.7
Energy relative to the elements in eV per atom: -0.394


Entry 4:
Below is a geometry-optimized Sm12Mn5C15 structure, with properties calculated at the r²SCAN level.

Unit cell a=10.6513 b=10.6513 c=5.2305 alpha=90.00 beta=90.00 gamma=120.00
Positions (direct):
Sm: 0.0000 0.2067 0.0000
Sm: 0.0000 0.5748 0.0000
Sm: 0.1864 0.4570 0.5000
Sm: 0.2067 0.0000 0.0000
Sm: 0.2706 0.8136 0.5000
Sm: 0.4252 0.4252 0.0000
Sm: 0.4570 0.1864 0.5000
Sm: 0.5430 0.7294 0.5000
Sm: 0.5748 0.0000 0.0000
Sm: 0.7294 0.5430 0.5000
Sm: 0.7933 0.7933 0.0000
Sm: 0.8136 0.2706 0.5000
Mn: 0.0000 0.8470 0.5000
Mn: 0.1530 0.1530 0.5000
Mn: 0.3333 0.6667 0.0000
Mn: 0.6667 0.3333 0.0000
Mn: 0.8470 0.0000 0.5000
C: 0.0000 0.2019 0.5000
C: 0.0000 0.5496 0.5000
C: 0.0000 0.6755 0.5000
C: 0.1973 0.4815 0.0000
C: 0.2019 0.0000 0.5000
C: 0.2841 0.8027 0.0000
C: 0.3245 0.3245 0.5000
C: 0.4504 0.4504 0.5000
C: 0.4815 0.1973 0.0000
C: 0.5185 0.7159 0.0000
C: 0.5496 0.0000 0.5000
C: 0.6755 0.0000 0.5000
C: 0.7159 0.5185 0.0000
C: 0.7981 0.7981 0.5000
C: 0.8027 0.2841 0.0000

V in Å³/cell: 513.9
Energy relative to the elements in eV per atom: -0.395


Entry 5:
Below is a geometry-optimized Tb12Mn5C15 structure, with properties calculated at the r²SCAN level.

Unit cell a=5.0816 b=10.4999 c=10.4999 alpha=119.98 beta=90.00 gamma=90.00
Positions (direct):
Tb: 0.0000 0.0000 0.0000
Tb: 0.0000 0.2180 0.7911
Tb: 0.0000 0.3602 0.3602
Tb: 0.0000 0.5834 0.7901
Tb: 0.0000 0.7901 0.5834
Tb: 0.0000 0.7911 0.2180
Tb: 0.5000 0.0597 0.2459
Tb: 0.5000 0.2459 0.0597
Tb: 0.5000 0.3355 0.6043
Tb: 0.5000 0.5210 0.9767
Tb: 0.5000 0.6043 0.3355
Tb: 0.5000 0.9767 0.5210
Mn: 0.0000 0.1236 0.4576
Mn: 0.0000 0.4576 0.1236
Mn: 0.5000 0.6357 0.6357
Mn: 0.5000 0.7898 0.9451
Mn: 0.5000 0.9451 0.7898
C: 0.0000 0.0734 0.2695
C: 0.0000 0.2695 0.0734
C: 0.0000 0.3107 0.5935
C: 0.0000 0.5084 0.9871
C: 0.0000 0.5935 0.3107
C: 0.0000 0.9871 0.5084
C: 0.5000 0.1179 0.7908
C: 0.5000 0.2463 0.7909
C: 0.5000 0.3351 0.3351
C: 0.5000 0.4636 0.4636
C: 0.5000 0.5849 0.7908
C: 0.5000 0.7908 0.1179
C: 0.5000 0.7909 0.2463
C: 0.5000 0.7908 0.5849
C: 0.5000 0.9931 0.9931

V in Å³/cell: 485.3
Energy relative to the elements in eV per atom: -0.466


Entry 6:
Below is a geometry-optimized Tb3Mn2C6 structure, with properties calculated at the r²SCAN level.

Unit cell a=8.1114 b=8.1114 c=4.9965 alpha=90.00 beta=90.00 gamma=120.00
Positions (direct):
Tb: 0.0644 0.3798 0.2500
Tb: 0.3155 0.9356 0.2500
Tb: 0.3798 0.3155 0.7500
Tb: 0.6202 0.6845 0.2500
Tb: 0.6845 0.0644 0.7500
Tb: 0.9356 0.6202 0.7500
Mn: 0.0000 0.0000 0.0000
Mn: 0.0000 0.0000 0.5000
Mn: 0.3333 0.6667 0.7500
Mn: 0.6667 0.3333 0.2500
C: 0.0347 0.2283 0.7500
C: 0.1368 0.4220 0.7500
C: 0.1936 0.9653 0.7500
C: 0.2283 0.1936 0.2500
C: 0.2851 0.8632 0.7500
C: 0.4220 0.2851 0.2500
C: 0.5780 0.7149 0.7500
C: 0.7149 0.1368 0.2500
C: 0.7717 0.8064 0.7500
C: 0.8064 0.0347 0.2500
C: 0.8632 0.5780 0.2500
C: 0.9653 0.7717 0.2500

V in Å³/cell: 284.7
Energy relative to the elements in eV per atom: -0.391


Entry 7:
Below is a geometry-optimized Th2Mn17C2 structure, with properties calculated at the r²SCAN level.

Unit cell a=6.8875 b=6.8875 c=6.9889 alpha=97.83 beta=97.83 gamma=84.24
Positions (direct):
Th: 0.1530 0.1530 0.3546
Th: 0.8470 0.8470 0.6454
Mn: 0.0000 0.5000 0.0000
Mn: 0.1552 0.6329 0.3418
Mn: 0.1573 0.1573 0.8519
Mn: 0.2136 0.7864 0.0000
Mn: 0.2182 0.5112 0.7191
Mn: 0.3671 0.8448 0.6582
Mn: 0.4032 0.4032 0.0998
Mn: 0.4888 0.7818 0.2809
Mn: 0.5000 0.0000 0.0000
Mn: 0.5000 0.5000 0.5000
Mn: 0.5112 0.2182 0.7191
Mn: 0.5968 0.5968 0.9002
Mn: 0.6329 0.1552 0.3418
Mn: 0.7818 0.4888 0.2809
Mn: 0.7864 0.2136 0.0000
Mn: 0.8427 0.8427 0.1481
Mn: 0.8448 0.3671 0.6582
C: 0.0000 0.5000 0.5000
C: 0.5000 0.0000 0.5000

V in Å³/cell: 324.2
Energy relative to the elements in eV per atom: -0.141


Entry 8:
Below is a geometry-optimized Tm12Mn5C15 structure, with properties calculated at the r²SCAN level.

Unit cell a=4.9396 b=10.3321 c=10.3321 alpha=120.02 beta=90.00 gamma=90.00
Positions (direct):
Tm: 0.0000 0.0000 0.0000
Tm: 0.0000 0.2234 0.7934
Tm: 0.0000 0.3608 0.3608
Tm: 0.0000 0.5860 0.7935
Tm: 0.0000 0.7934 0.2234
Tm: 0.0000 0.7935 0.5860
Tm: 0.5000 0.0615 0.2469
Tm: 0.5000 0.2469 0.0615
Tm: 0.5000 0.3386 0.6071
Tm: 0.5000 0.5237 0.9785
Tm: 0.5000 0.6071 0.3386
Tm: 0.5000 0.9785 0.5237
Mn: 0.0000 0.1264 0.4595
Mn: 0.0000 0.4595 0.1264
Mn: 0.5000 0.6386 0.6386
Mn: 0.5000 0.7918 0.9463
Mn: 0.5000 0.9463 0.7918
C: 0.0000 0.0730 0.2682
C: 0.0000 0.2682 0.0730
C: 0.0000 0.3170 0.5968
C: 0.0000 0.5127 0.9887
C: 0.0000 0.5968 0.3170
C: 0.0000 0.9887 0.5127
C: 0.5000 0.9997 0.9997
C: 0.5000 0.1212 0.7930
C: 0.5000 0.2519 0.7929
C: 0.5000 0.3333 0.3333
C: 0.5000 0.4641 0.4641
C: 0.5000 0.5841 0.7934
C: 0.5000 0.7930 0.1212
C: 0.5000 0.7929 0.2519
C: 0.5000 0.7934 0.5841

V in Å³/cell: 456.6
Energy relative to the elements in eV per atom: -0.507


Entry 9:
Below is a geometry-optimized UMnC2 structure, with properties calculated at the r²SCAN level.

Unit cell a=5.4997 b=3.2096 c=10.7208 alpha=90.00 beta=90.00 gamma=90.00
Positions (direct):
U: 0.0842 0.2500 0.1425
U: 0.4158 0.7500 0.6425
U: 0.5842 0.2500 0.3575
U: 0.9158 0.7500 0.8575
Mn: 0.0831 0.7500 0.3978
Mn: 0.4169 0.2500 0.8978
Mn: 0.5831 0.7500 0.1022
Mn: 0.9169 0.2500 0.6022
C: 0.1611 0.2500 0.7523
C: 0.2261 0.2500 0.4893
C: 0.2739 0.7500 0.9893
C: 0.3389 0.7500 0.2523
C: 0.6611 0.2500 0.7477
C: 0.7261 0.2500 0.0107
C: 0.7739 0.7500 0.5107
C: 0.8389 0.7500 0.2477

V in Å³/cell: 189.2
Energy relative to the elements in eV per atom: -0.217


Entry 10:
Below is a geometry-optimized Y12Mn5C15 structure, with properties calculated at the r²SCAN level.

Unit cell a=10.4863 b=10.4863 c=5.0634 alpha=90.00 beta=90.00 gamma=120.00
Positions (direct):
Y: 0.0000 0.4285 0.0000
Y: 0.0000 0.7941 0.0000
Y: 0.1854 0.7303 0.5000
Y: 0.2059 0.2059 0.0000
Y: 0.2697 0.4552 0.5000
Y: 0.4285 0.0000 0.0000
Y: 0.4552 0.2697 0.5000
Y: 0.5448 0.8146 0.5000
Y: 0.5715 0.5715 0.0000
Y: 0.7303 0.1854 0.5000
Y: 0.7941 0.0000 0.0000
Y: 0.8146 0.5448 0.5000
Mn: 0.0000 0.1537 0.5000
Mn: 0.1537 0.0000 0.5000
Mn: 0.3333 0.6667 0.0000
Mn: 0.6667 0.3333 0.0000
Mn: 0.8463 0.8463 0.5000
C: 0.0000 0.3268 0.5000
C: 0.0000 0.4553 0.5000
C: 0.0000 0.7951 0.5000
C: 0.1972 0.7186 0.0000
C: 0.2049 0.2049 0.5000
C: 0.2814 0.4786 0.0000
C: 0.3268 0.0000 0.5000
C: 0.4553 0.0000 0.5000
C: 0.4786 0.2814 0.0000
C: 0.5214 0.8028 0.0000
C: 0.5447 0.5447 0.5000
C: 0.6732 0.6732 0.5000
C: 0.7186 0.1972 0.0000
C: 0.7951 0.0000 0.5000
C: 0.8028 0.5214 0.0000

V in Å³/cell: 482.2
Energy relative to the elements in eV per atom: -0.464


Entry 11:
Below is a geometry-optimized Nd2MoC2 structure, with properties calculated at the r²SCAN level.

Unit cell a=5.8284 b=5.8284 c=10.3678 alpha=90.00 beta=90.00 gamma=90.00
Positions (direct):
Nd: 0.1973 0.1973 0.1556
Nd: 0.1973 0.1973 0.8444
Nd: 0.3027 0.6973 0.3444
Nd: 0.3027 0.6973 0.6556
Nd: 0.6973 0.3027 0.3444
Nd: 0.6973 0.3027 0.6556
Nd: 0.8027 0.8027 0.1556
Nd: 0.8027 0.8027 0.8444
Mo: 0.1756 0.1756 0.5000
Mo: 0.3244 0.6756 0.0000
Mo: 0.6756 0.3244 0.0000
Mo: 0.8244 0.8244 0.5000
C: 0.0000 0.0000 0.3569
C: 0.0000 0.0000 0.6431
C: 0.0000 0.5000 0.0000
C: 0.0000 0.5000 0.5000
C: 0.5000 0.0000 0.0000
C: 0.5000 0.0000 0.5000
C: 0.5000 0.5000 0.1431
C: 0.5000 0.5000 0.8569

V in Å³/cell: 352.2
Energy relative to the elements in eV per atom: -0.302


Entry 12:
Below is a geometry-optimized Ni6Mo6C structure, with properties calculated at the r²SCAN level.

Unit cell a=7.6595 b=7.6595 c=7.6595 alpha=60.00 beta=60.00 gamma=60.00
Positions (direct):
Ni: 0.0000 0.0000 0.0000
Ni: 0.0000 0.0000 0.5000
Ni: 0.0000 0.5000 0.0000
Ni: 0.1246 0.7918 0.7918
Ni: 0.2082 0.2082 0.2082
Ni: 0.2082 0.2082 0.8754
Ni: 0.2082 0.8754 0.2082
Ni: 0.5000 0.0000 0.0000
Ni: 0.7918 0.1246 0.7918
Ni: 0.7918 0.7918 0.1246
Ni: 0.7918 0.7918 0.7918
Ni: 0.8754 0.2082 0.2082
Mo: 0.1758 0.1758 0.5742
Mo: 0.1758 0.5742 0.1758
Mo: 0.1758 0.5742 0.5742
Mo: 0.4258 0.4258 0.8242
Mo: 0.4258 0.8242 0.4258
Mo: 0.4258 0.8242 0.8242
Mo: 0.5742 0.1758 0.1758
Mo: 0.5742 0.1758 0.5742
Mo: 0.5742 0.5742 0.1758
Mo: 0.8242 0.4258 0.4258
Mo: 0.8242 0.4258 0.8242
Mo: 0.8242 0.8242 0.4258
C: 0.3750 0.3750 0.3750
C: 0.6250 0.6250 0.6250

V in Å³/cell: 317.7
Energy relative to the elements in eV per atom: -0.080


Entry 13:
Below is a geometry-optimized PuMoC2 structure, with properties calculated at the r²SCAN level.

Unit cell a=5.7068 b=3.3185 c=10.9062 alpha=90.00 beta=90.00 gamma=90.00
Positions (direct):
Pu: 0.0000 0.0000 0.0000
Pu: 0.1634 0.5000 0.7205
Pu: 0.4988 0.0000 0.2197
Pu: 0.6655 0.5000 0.4996
Mo: 0.1729 0.0000 0.4667
Mo: 0.4978 0.5000 0.9657
Mo: 0.6653 0.0000 0.7546
Mo: 0.9965 0.5000 0.2545
C: 0.2444 0.5000 0.1055
C: 0.3115 0.5000 0.3721
C: 0.3510 0.0000 0.8729
C: 0.4147 0.0000 0.6044
C: 0.7449 0.5000 0.1131
C: 0.8167 0.5000 0.8471
C: 0.8502 0.0000 0.3466
C: 0.9188 0.0000 0.6139

V in Å³/cell: 206.5
Energy relative to the elements in eV per atom: -0.329


Entry 14:
Below is a geometry-optimized Sm2Mo2C3 structure, with properties calculated at the r²SCAN level.

Unit cell a=11.3468 b=3.4590 c=5.8069 alpha=90.00 beta=106.16 gamma=90.00
Positions (direct):
Sm: 0.1104 0.0000 0.3243
Sm: 0.3896 0.5000 0.6757
Sm: 0.6104 0.5000 0.3243
Sm: 0.8896 0.0000 0.6757
Mo: 0.1527 0.5000 0.8839
Mo: 0.3473 0.0000 0.1161
Mo: 0.6527 0.0000 0.8839
Mo: 0.8473 0.5000 0.1161
C: 0.0000 0.5000 0.0000
C: 0.2238 0.0000 0.7676
C: 0.2762 0.5000 0.2324
C: 0.5000 0.0000 0.0000
C: 0.7238 0.5000 0.7676
C: 0.7762 0.0000 0.2324

V in Å³/cell: 218.9
Energy relative to the elements in eV per atom: -0.359


Entry 15:
Below is a geometry-optimized Tb2Mo2C3 structure, with properties calculated at the r²SCAN level.

Unit cell a=11.8095 b=3.3489 c=5.7367 alpha=90.00 beta=112.99 gamma=90.00
Positions (direct):
Tb: 0.1094 0.0000 0.3218
Tb: 0.3906 0.5000 0.6782
Tb: 0.6094 0.5000 0.3218
Tb: 0.8906 0.0000 0.6782
Mo: 0.1576 0.5000 0.8250
Mo: 0.3424 0.0000 0.1750
Mo: 0.6576 0.0000 0.8250
Mo: 0.8424 0.5000 0.1750
C: 0.0000 0.5000 0.5000
C: 0.2504 0.0000 0.7683
C: 0.2496 0.5000 0.2317
C: 0.5000 0.0000 0.5000
C: 0.7496 0.0000 0.2317
C: 0.7504 0.5000 0.7683

V in Å³/cell: 208.9
Energy relative to the elements in eV per atom: -0.455